Here is a relaxed Gd4MgRu crystal from the Materials Project. Energies are from PBE.

Properties
- Density: 7.535 Mg/m³
- Formation enthalpy at 0 K: -238 meV per atom

Lattice parameters (Å, degrees): 13.8554 13.8554 13.8554 90.00 90.00 90.00
Space group F-43m (No. 216)
Asymmetric unit:
Gd 0.0000 0.0000 0.1866 (multiplicity 24)
Gd 0.0622 0.2500 0.7500 (multiplicity 24)
Gd 0.1552 0.1552 0.3448 (multiplicity 16)
Mg 0.0792 0.0792 0.5792 (multiplicity 16)
Ru 0.1390 0.1390 0.1390 (multiplicity 16)